A plane-wave DFT calculation with PBE was carried out for a relaxed Na3Tl4 crystal.

```
data_Na3Tl4
_chemical_formula_sum 'Na9 Tl12'
_cell_length_a 5.3774
_cell_length_b 5.3774
_cell_length_c 26.0748
_cell_angle_alpha 90.00
_cell_angle_beta 90.00
_cell_angle_gamma 120.00
_space_group_name_H-M_alt 'R 3 m'
_space_group_IT_number 160
_space_group_name_Hall 'R 3 -2"'
loop_
_atom_site_label
_atom_site_fract_x
_atom_site_fract_y
_atom_site_fract_z
Na1 0.0000 0.0000 0.0000
Na2 0.0000 0.0000 0.1305
Na3 0.0000 0.0000 0.5107
Tl1 0.0000 0.0000 0.2592
Tl2 0.0000 0.0000 0.3807
Tl3 0.0000 0.0000 0.7551
Tl4 0.0000 0.0000 0.8770
```

## Properties
For the calculated total energy, the calculation gives -1.9956 eV/atom. The calculation puts the total magnetic moment at 0.0002 μB/atom. Its formation energy is -0.08 eV/atom. The calculated volume is 218 Å³/f.u.

=====

A plane-wave DFT calculation with PBE was carried out for a relaxed Na3Tl crystal.

```
data_Na3Tl
_chemical_formula_sum 'Na6 Tl2'
_cell_length_a 6.9969
_cell_length_b 6.9969
_cell_length_c 5.8525
_cell_angle_alpha 90.00
_cell_angle_beta 90.00
_cell_angle_gamma 120.00
_space_group_name_H-M_alt 'P 63/m m c'
_space_group_IT_number 194
_space_group_name_Hall '-P 6c 2c'
loop_
_atom_site_label
_atom_site_fract_x
_atom_site_fract_y
_atom_site_fract_z
Na1 0.1725 0.3450 0.2500
Tl1 0.3333 0.6667 0.7500
```

## Properties
For the calculated total energy, the calculation gives -1.6576 eV/atom. Its formation energy is -0.08 eV/atom. The calculated volume is 124 Å³/f.u.

=====

A plane-wave DFT calculation with PBE was carried out for a relaxed Na3Tl crystal.

```
data_Na3Tl
_chemical_formula_sum 'Na3 Tl1'
_cell_length_a 4.9741
_cell_length_b 4.9741
_cell_length_c 4.9741
_cell_angle_alpha 90.00
_cell_angle_beta 90.00
_cell_angle_gamma 90.00
_space_group_name_H-M_alt 'P m -3 m'
_space_group_IT_number 221
_space_group_name_Hall '-P 4 2 3'
loop_
_atom_site_label
_atom_site_fract_x
_atom_site_fract_y
_atom_site_fract_z
Na1 0.0000 0.0000 0.5000
Tl1 0.5000 0.5000 0.5000
```

## Properties
For the calculated total energy, the calculation gives -1.6544 eV/atom. Its formation energy is -0.07 eV/atom. The calculated volume is 123 Å³/f.u.